Crystalline SbPb3N at its relaxed geometry, computed with PBE.

Structure (POSCAR):
```
SbPb3N
1.0
-3.645 4.960 3.780
3.645 -4.960 3.780
3.645 4.960 -3.780
Sb Pb N
2 6 2
direct
0.253 0.003 0.250
0.747 0.997 0.750
0.211 0.000 0.711
0.211 0.500 0.211
0.318 0.568 0.750
0.682 0.432 0.250
0.789 0.000 0.289
0.789 0.500 0.789
0.000 0.500 0.500
0.500 0.500 0.000
```

- spin magnetization (μB per formula unit) = 0.0
- DFT formation energy (meV per atom) = 328
- electronic total energy (eV for the cell shown) = -43.21
- space group = Imma

Crystalline Cs3P7 at its relaxed geometry, computed with PBE.

Structure (POSCAR):
```
Cs3P7
1.0
9.252 0.000 0.000
0.000 9.252 0.000
0.000 0.000 16.941
Cs P
12 28
direct
0.024 0.838 0.000
0.162 0.024 0.250
0.254 0.619 0.506
0.264 0.418 0.093
0.381 0.254 0.756
0.418 0.736 0.843
0.582 0.264 0.343
0.619 0.746 0.256
0.736 0.582 0.593
0.746 0.381 0.006
0.838 0.976 0.750
0.976 0.162 0.500
0.002 0.655 0.210
0.008 0.290 0.843
0.024 0.642 0.814
0.094 0.555 0.700
0.106 0.477 0.896
0.203 0.626 0.286
0.210 0.401 0.315
0.290 0.992 0.593
0.345 0.002 0.460
0.358 0.024 0.064
0.374 0.203 0.536
0.401 0.790 0.065
0.445 0.094 0.950
0.477 0.894 0.646
0.523 0.106 0.146
0.555 0.906 0.450
0.599 0.210 0.565
0.626 0.797 0.036
0.642 0.976 0.564
0.655 0.998 0.960
0.710 0.008 0.093
0.790 0.599 0.815
0.797 0.374 0.786
0.894 0.523 0.396
0.906 0.445 0.200
0.976 0.358 0.314
0.992 0.710 0.343
0.998 0.345 0.710
```

- DFT formation energy (meV per atom) = -439
- electronic total energy (eV for the cell shown) = -179.87
- space group = P4_1

Crystalline NaTmTi2O6 at its relaxed geometry, computed with PBE.

Structure (POSCAR):
```
NaTmTi2O6
1.0
7.604 0.000 0.000
0.000 5.522 0.000
0.000 0.000 5.308
Na Tm Ti O
2 2 4 12
direct
0.000 0.213 0.000
0.500 0.787 0.500
0.000 0.676 0.526
0.500 0.324 0.026
0.247 0.235 0.519
0.253 0.765 0.019
0.747 0.765 0.019
0.753 0.235 0.519
0.000 0.279 0.427
0.000 0.776 0.118
0.194 0.942 0.693
0.207 0.464 0.785
0.293 0.536 0.285
0.306 0.058 0.193
0.500 0.224 0.618
0.500 0.721 0.927
0.694 0.058 0.193
0.707 0.536 0.285
0.793 0.464 0.785
0.806 0.942 0.693
```

- spin magnetization (μB per formula unit) = 0.0
- DFT formation energy (meV per atom) = -3452
- electronic total energy (eV for the cell shown) = -163.34
- space group = Pmn2_1

Crystalline P4Pb2O15 at its relaxed geometry, computed with PBE.

Structure (POSCAR):
```
P4Pb2O15
1.0
7.735 0.000 0.000
3.537 9.188 0.000
2.933 2.811 9.425
P Pb O
8 4 30
direct
0.094 0.341 0.241
0.131 0.993 0.747
0.237 0.024 0.242
0.289 0.679 0.729
0.711 0.321 0.271
0.763 0.976 0.758
0.869 0.007 0.253
0.906 0.659 0.759
0.213 0.642 0.394
0.467 0.760 0.962
0.533 0.240 0.038
0.787 0.358 0.606
0.049 0.421 0.351
0.066 0.046 0.168
0.092 0.641 0.814
0.093 0.146 0.643
0.162 0.159 0.316
0.229 0.862 0.666
0.236 0.380 0.106
0.243 0.962 0.859
0.274 0.878 0.358
0.285 0.292 0.768
0.339 0.301 0.641
0.340 0.691 0.161
0.374 0.609 0.610
0.396 0.053 0.118
0.405 0.634 0.843
0.595 0.366 0.157
0.604 0.947 0.882
0.626 0.391 0.390
0.660 0.309 0.839
0.661 0.699 0.359
0.715 0.708 0.232
0.726 0.122 0.642
0.757 0.038 0.141
0.764 0.620 0.894
0.771 0.138 0.334
0.838 0.841 0.684
0.907 0.854 0.357
0.908 0.359 0.186
0.934 0.954 0.832
0.951 0.579 0.649
```

- spin magnetization (μB per formula unit) = 0.0
- DFT formation energy (meV per atom) = -1722
- electronic total energy (eV for the cell shown) = -274.10
- space group = P-1

Crystalline Na4LaNb3Si5SO24 at its relaxed geometry, computed with PBE.

Structure (POSCAR):
```
Na4LaNb3Si5SO24
1.0
9.138 0.000 0.000
4.533 7.954 0.000
0.117 0.010 23.086
Na La Nb Si S O
12 3 9 15 3 72
direct
0.000 0.000 0.000
0.004 0.322 0.420
0.022 0.308 0.913
0.050 0.966 0.329
0.300 0.356 0.333
0.313 0.675 0.750
0.340 0.642 0.246
0.377 0.298 0.661
0.658 0.985 0.088
0.666 0.606 0.334
0.683 0.963 0.580
0.698 0.633 0.998
0.332 0.646 0.904
0.345 0.635 0.403
0.692 0.960 0.722
0.004 0.296 0.763
0.005 0.311 0.266
0.009 0.316 0.562
0.012 0.308 0.068
0.342 0.643 0.104
0.359 0.633 0.601
0.660 0.978 0.434
0.676 0.974 0.223
0.684 0.982 0.939
0.012 0.014 0.166
0.024 0.587 0.663
0.045 0.636 0.001
0.283 0.014 0.660
0.300 0.312 0.167
0.340 0.946 0.002
0.344 0.336 0.498
0.381 0.986 0.327
0.641 0.349 0.002
0.648 0.641 0.496
0.684 0.252 0.328
0.712 0.600 0.166
0.716 0.319 0.660
0.951 0.689 0.329
0.974 0.987 0.831
0.033 0.947 0.500
0.373 0.260 0.831
0.693 0.666 0.834
0.007 0.119 0.509
0.021 0.476 0.608
0.035 0.112 0.223
0.041 0.468 0.722
0.119 0.893 0.443
0.134 0.829 0.547
0.136 0.671 0.329
0.139 0.588 0.941
0.141 0.681 0.053
0.162 0.831 0.833
0.167 0.109 0.721
0.175 0.130 0.607
0.180 0.336 0.225
0.182 0.830 0.157
0.185 0.134 0.017
0.190 0.297 0.510
0.196 0.292 0.113
0.197 0.161 0.324
0.203 0.590 0.657
0.205 0.269 0.833
0.267 0.897 0.946
0.298 0.828 0.653
0.300 0.428 0.435
0.312 0.483 0.157
0.353 0.428 0.835
0.359 0.822 0.329
0.364 0.451 0.551
0.379 0.804 0.054
0.457 0.014 0.662
0.457 0.185 0.776
0.475 0.006 0.387
0.475 0.152 0.882
0.486 0.144 0.171
0.503 0.967 0.272
0.506 0.449 0.055
0.507 0.665 0.548
0.518 0.947 0.989
0.519 0.438 0.329
0.523 0.154 0.492
0.526 0.616 0.158
0.533 0.499 0.656
0.552 0.633 0.837
0.593 0.462 0.945
0.593 0.605 0.434
0.653 0.160 0.991
0.657 0.817 0.493
0.667 0.175 0.659
0.669 0.151 0.272
0.671 0.764 0.782
0.693 0.787 0.171
0.698 0.762 0.887
0.705 0.135 0.387
0.810 0.479 0.223
0.811 0.335 0.720
0.830 0.502 0.110
0.832 0.307 0.606
0.833 0.785 0.387
0.834 0.482 0.509
0.836 0.299 0.016
0.844 0.994 0.171
0.849 0.996 0.890
0.852 0.803 0.272
0.854 0.817 0.991
0.857 0.505 0.832
0.859 0.265 0.324
0.861 0.766 0.656
0.867 0.955 0.498
0.879 0.976 0.775
0.964 0.501 0.324
0.975 0.171 0.828
0.988 0.133 0.110
0.991 0.493 0.015
```

- spin magnetization (μB per formula unit) = 0.0
- DFT formation energy (meV per atom) = -2912
- electronic total energy (eV for the cell shown) = -854.11
- space group = P1

Crystalline Na3Ta2In2SiP5O24 at its relaxed geometry, computed with PBE.

Structure (POSCAR):
```
Na3Ta2In2SiP5O24
1.0
8.918 0.000 0.000
-4.451 7.729 0.000
-0.005 -0.005 22.711
Na Ta In Si P O
9 6 6 3 15 72
direct
0.000 0.000 0.000
0.001 0.985 0.501
0.312 0.642 0.166
0.323 0.647 0.667
0.351 0.982 0.744
0.637 0.990 0.249
0.651 0.336 0.334
0.678 0.342 0.835
0.968 0.309 0.414
0.332 0.663 0.015
0.337 0.669 0.516
0.669 0.333 0.181
0.671 0.336 0.681
0.996 0.993 0.849
0.997 0.995 0.348
0.003 0.002 0.141
0.329 0.663 0.310
0.330 0.657 0.811
0.661 0.326 0.477
0.666 0.331 0.976
0.998 0.995 0.643
0.003 0.294 0.243
0.625 0.956 0.408
0.999 0.704 0.744
0.041 0.368 0.911
0.043 0.669 0.413
0.291 0.287 0.744
0.292 0.002 0.243
0.330 0.956 0.910
0.332 0.371 0.411
0.373 0.035 0.578
0.376 0.334 0.076
0.626 0.667 0.911
0.661 0.035 0.077
0.662 0.620 0.577
0.712 0.001 0.744
0.713 0.704 0.243
0.959 0.622 0.076
0.962 0.333 0.576
0.022 0.206 0.186
0.035 0.190 0.906
0.041 0.841 0.405
0.044 0.827 0.689
0.114 0.625 0.359
0.116 0.473 0.856
0.140 0.629 0.071
0.141 0.505 0.573
0.158 0.190 0.406
0.158 0.965 0.905
0.159 0.488 0.249
0.161 0.466 0.966
0.161 0.691 0.468
0.164 0.678 0.751
0.186 0.215 0.688
0.186 0.967 0.188
0.190 0.006 0.582
0.194 0.181 0.081
0.198 0.165 0.799
0.200 0.024 0.299
0.297 0.461 0.466
0.306 0.832 0.964
0.332 0.472 0.751
0.336 0.858 0.249
0.354 0.882 0.853
0.355 0.473 0.356
0.364 0.853 0.572
0.366 0.506 0.070
0.455 0.138 0.523
0.455 0.311 0.021
0.468 0.285 0.737
0.473 0.176 0.237
0.482 0.137 0.917
0.483 0.342 0.418
0.486 0.123 0.635
0.487 0.625 0.571
0.487 0.856 0.070
0.494 0.358 0.131
0.520 0.827 0.466
0.524 0.642 0.855
0.525 0.883 0.348
0.526 0.853 0.752
0.530 0.690 0.966
0.534 0.683 0.251
0.636 0.126 0.134
0.637 0.500 0.632
0.661 0.518 0.917
0.671 0.154 0.415
0.689 0.144 0.023
0.689 0.542 0.522
0.696 0.171 0.737
0.699 0.523 0.237
0.785 0.972 0.689
0.790 0.814 0.189
0.806 0.843 0.906
0.810 0.998 0.083
0.811 0.803 0.584
0.813 0.294 0.237
0.818 0.514 0.735
0.818 0.964 0.404
0.829 0.029 0.800
0.832 0.795 0.299
0.855 0.544 0.022
0.858 0.338 0.918
0.858 0.353 0.630
0.861 0.516 0.420
0.864 0.501 0.132
0.865 0.310 0.519
0.968 0.803 0.803
0.969 0.164 0.303
0.988 0.179 0.584
0.991 0.804 0.084
```

- spin magnetization (μB per formula unit) = 0.0
- DFT formation energy (meV per atom) = -2770
- electronic total energy (eV for the cell shown) = -811.35
- space group = P1